## Li5V3P8O29 (PBE+U)

Data for a relaxed Li5V3P8O29 crystal.

Lattice parameters (Å, degrees): 9.7877 9.8213 14.0720 89.53 89.45 60.33
With the nearest neighbours (Å) after each atom.
Space group P1 (No. 1)
One atom of each set of equivalent atoms:
1 Li 0.0000 0.0000 0.0000  3 O 1.97-2.08
2 Li 0.0032 0.4501 0.5028  2 O 1.88-1.94
3 Li 0.1331 0.8615 0.5001  3 O 1.91-2.05
4 Li 0.1362 0.4503 0.9987  3 O 1.89-2.04
5 Li 0.2261 0.6801 0.1180  3 O 1.96-2.08
6 Li 0.5697 0.4354 0.4481  2 O 1.88-2.11
7 Li 0.5991 0.8554 0.0010  3 O 1.92-2.03
8 Li 0.6759 0.0939 0.1221  3 O 1.98-2.04
9 Li 0.6855 0.6891 0.6209  3 O 1.91-2.03
10 Li 0.8255 0.0763 0.6177  3 O 1.87-2.09
11 V 0.3400 0.7713 0.3075  6 O 1.83-2.01
12 V 0.3447 0.3389 0.8046  6 O 1.88-2.06
13 V 0.4721 0.2022 0.3166  6 O 1.84-2.01
14 V 0.4752 0.7742 0.8109  6 O 1.86-2.03
15 V 0.9082 0.2077 0.8104  6 O 1.83-1.97
16 V 0.9076 0.3446 0.3035  6 O 1.85-1.97
17 P 0.1386 0.8643 0.7182  4 O 1.48-1.62
18 P 0.1452 0.4517 0.2165  4 O 1.50-1.61
19 P 0.2245 0.5431 0.3997  4 O 1.48-1.62
20 P 0.2261 0.6841 0.8993  4 O 1.51-1.61
21 P 0.2310 0.1081 0.4314  4 O 1.49-1.60
22 P 0.2404 0.1065 0.9300  4 O 1.49-1.61
23 P 0.5743 0.4345 0.1886  4 O 1.49-1.61
24 P 0.5801 0.4382 0.6878  4 O 1.50-1.60
25 P 0.5918 0.0030 0.7208  4 O 1.48-1.63
26 P 0.5920 0.8589 0.2189  4 O 1.48-1.62
27 P 0.6733 0.0933 0.9031  4 O 1.51-1.60
28 P 0.6782 0.6785 0.4013  4 O 1.48-1.61
29 P 0.8176 0.0943 0.4019  4 O 1.50-1.62
30 P 0.8217 0.5419 0.9006  4 O 1.48-1.62
31 P 0.9940 0.0049 0.2189  4 O 1.50-1.60
32 P 0.9971 0.4543 0.7174  4 O 1.50-1.60
33 O 0.0043 0.2934 0.7392  1 P 1.57
34 O 0.0047 0.1551 0.2370  1 P 1.55
35 O 0.0849 0.2575 0.3848  1 P 1.60
36 O 0.0901 0.1028 0.8869  1 P 1.61
37 O 0.1176 0.7732 0.8091  2 P 1.61-1.62
38 O 0.1266 0.5655 0.3031  2 P 1.61-1.62
39 O 0.1354 0.5354 0.4829  1 P 1.48
40 O 0.1359 0.7908 0.6271  1 P 1.48
41 O 0.1481 0.5305 0.1255  1 P 1.50
42 O 0.1513 0.7745 0.9891  1 P 1.51
43 O 0.1582 0.8568 0.2182  1 P 1.54
44 O 0.1615 0.4318 0.7205  1 P 1.51
45 O 0.2191 0.1245 0.5365  1 P 1.49
46 O 0.2271 0.1046 0.0358  1 P 1.49
47 O 0.2340 0.9579 0.3941  1 P 1.56
48 O 0.2378 0.2577 0.8908  1 P 1.57
49 O 0.2428 0.5208 0.8997  1 P 1.53
50 O 0.2434 0.6923 0.3986  1 P 1.57
51 O 0.2854 0.8773 0.7371  1 P 1.53
52 O 0.2914 0.2929 0.2327  1 P 1.52
53 O 0.3798 0.1121 0.3880  1 P 1.59
54 O 0.3879 0.6739 0.8807  1 P 1.56
55 O 0.3932 0.4005 0.3876  1 P 1.56
56 O 0.3940 0.9583 0.8929  1 P 1.58
57 O 0.4218 0.5852 0.2250  1 P 1.58
58 O 0.4283 0.1480 0.7360  1 P 1.54
59 O 0.4303 0.8673 0.2414  1 P 1.57
60 O 0.4319 0.4369 0.7303  1 P 1.57
61 O 0.5255 0.2517 0.8867  1 P 1.53
62 O 0.5354 0.6538 0.3841  1 P 1.55
63 O 0.5732 0.0238 0.2237  1 P 1.54
64 O 0.5741 0.8533 0.7232  1 P 1.56
65 O 0.5768 0.2851 0.2318  1 P 1.57
66 O 0.5830 0.5859 0.7232  1 P 1.55
67 O 0.5849 0.4283 0.0831  1 P 1.49
68 O 0.5898 0.4255 0.5814  1 P 1.50
69 O 0.6529 0.1151 0.4024  1 P 1.52
70 O 0.6555 0.6869 0.9018  1 P 1.54
71 O 0.6603 0.7777 0.1280  1 P 1.48
72 O 0.6685 0.0146 0.9944  1 P 1.51
73 O 0.6747 0.7559 0.4918  1 P 1.48
74 O 0.6801 0.0078 0.6360  1 P 1.48
75 O 0.6948 0.9793 0.8163  2 P 1.60-1.63
76 O 0.6976 0.7681 0.3103  2 P 1.61-1.62
77 O 0.7235 0.4356 0.2346  1 P 1.61
78 O 0.7283 0.2858 0.7304  1 P 1.60
79 O 0.8023 0.2584 0.3838  1 P 1.56
80 O 0.8110 0.3899 0.8821  1 P 1.57
81 O 0.8235 0.1110 0.8994  1 P 1.56
82 O 0.8299 0.5120 0.3954  1 P 1.58
83 O 0.8989 0.5662 0.8041  2 P 1.60-1.62
84 O 0.9051 0.0184 0.1296  1 P 1.50
85 O 0.9063 0.9856 0.3104  2 P 1.60-1.62
86 O 0.9078 0.5226 0.6273  1 P 1.50
87 O 0.9118 0.0174 0.4891  1 P 1.50
88 O 0.9183 0.5277 0.9843  1 P 1.48
89 O 0.9872 0.0310 0.7261  1 P 1.58
90 O 0.9951 0.4339 0.2248  1 P 1.57

Relative energy among the computed polymorphs ... 3 meV per atom
Size of the total moment ... 0.04 μB/atom
Calculated formation energy ... -2.62 eV/atom
Crystal system ... triclinic